# MgZn2Fe2Si2O10

A relaxed MgZn2Fe2Si2O10 crystal (GGA+U, the Materials Project).

Geometry as POSCAR:
```
MgZn2Fe2Si2O10
1.0
-5.388 0.459 1.967
-0.671 6.612 3.124
-7.135 0.754 -3.440
Mg Zn Fe Si O
1 2 2 2 10
Direct
0.022 0.345 0.317 Mg
0.460 0.191 0.710 Zn
0.459 0.713 0.330 Zn
0.582 0.474 0.947 Fe
0.635 0.951 0.944 Fe
0.444 0.260 0.390 Si
0.533 0.736 0.626 Si
0.398 0.099 0.279 O
0.409 0.448 0.286 O
0.582 0.905 0.721 O
0.589 0.532 0.703 O
0.840 0.633 0.318 O
0.158 0.838 0.701 O
0.109 0.326 0.702 O
0.789 0.180 0.342 O
0.518 0.736 0.066 O
0.471 0.242 0.943 O
```

Properties
For the calculated volume, the calculation gives 216 Å³ per cell. As for the formation energy from the elements: -2.35 eV per atom. The MP2020-corrected energy comes out at -7.13 eV per atom. As for the space group: No. 1.



# Li4Fe2Ni3TeP6O24

A relaxed Li4Fe2Ni3TeP6O24 crystal (GGA+U, the Materials Project).

Geometry as POSCAR:
```
Li4Fe2Ni3TeP6O24
1.0
8.425 0.000 0.000
3.778 7.661 0.000
3.762 2.435 7.289
Li Fe Ni Te P O
4 2 3 1 6 24
Direct
0.740 0.147 0.357 Li
0.297 0.840 0.637 Li
0.634 0.301 0.844 Li
0.846 0.632 0.306 Li
0.013 0.003 0.000 Fe
0.485 0.502 0.499 Fe
0.141 0.147 0.145 Ni
0.354 0.351 0.349 Ni
0.649 0.652 0.653 Ni
0.849 0.842 0.848 Te
0.067 0.746 0.436 P
0.434 0.064 0.749 P
0.252 0.540 0.951 P
0.552 0.953 0.252 P
0.941 0.248 0.540 P
0.747 0.437 0.063 P
0.110 0.298 0.491 O
0.313 0.513 0.104 O
0.065 0.906 0.253 O
0.552 0.099 0.307 O
0.058 0.810 0.586 O
0.251 0.588 0.420 O
0.243 0.082 0.897 O
0.439 0.242 0.583 O
0.174 0.397 0.983 O
0.595 0.420 0.251 O
0.102 0.750 0.915 O
0.392 0.007 0.186 O
0.584 0.045 0.824 O
0.894 0.243 0.083 O
0.409 0.560 0.759 O
0.817 0.587 0.049 O
0.562 0.760 0.410 O
0.758 0.910 0.099 O
0.753 0.412 0.564 O
0.944 0.176 0.404 O
0.481 0.896 0.693 O
0.917 0.099 0.748 O
0.691 0.485 0.896 O
0.897 0.687 0.488 O
```

Properties
For the calculated volume, the calculation gives 470 Å³ per cell. As for the formation energy from the elements: -2.26 eV per atom. The MP2020-corrected energy comes out at -7.16 eV per atom. As for the space group: No. 1.



# Ba2CaV2P4O18

A relaxed Ba2CaV2P4O18 crystal (GGA+U, the Materials Project).

Geometry as POSCAR:
```
Ba2CaV2P4O18
1.0
-2.467 3.457 5.715
3.765 -4.568 4.389
13.039 6.750 1.547
Ba Ca V P O
4 2 4 8 36
Direct
0.486 0.629 0.430 Ba
0.024 0.386 0.572 Ba
0.976 0.386 0.072 Ba
0.514 0.629 0.930 Ba
0.772 0.185 0.843 Ca
0.228 0.185 0.343 Ca
0.766 0.841 0.667 V
0.734 0.163 0.331 V
0.234 0.841 0.167 V
0.266 0.163 0.831 V
0.969 0.872 0.500 P
0.465 0.131 0.001 P
0.467 0.457 0.194 P
0.031 0.872 0.000 P
0.971 0.544 0.304 P
0.533 0.457 0.694 P
0.029 0.544 0.804 P
0.535 0.131 0.501 P
0.915 0.347 0.279 O
0.161 0.792 0.491 O
0.585 0.656 0.712 O
0.950 0.979 0.583 O
0.065 0.029 0.909 O
0.458 0.352 0.795 O
0.085 0.347 0.779 O
0.310 0.280 0.978 O
0.612 0.477 0.118 O
0.388 0.477 0.618 O
0.839 0.792 0.991 O
0.958 0.657 0.706 O
0.415 0.656 0.212 O
0.430 0.983 0.092 O
0.542 0.352 0.295 O
0.227 0.946 0.254 O
0.865 0.484 0.873 O
0.135 0.484 0.373 O
0.336 0.209 0.493 O
0.773 0.946 0.754 O
0.190 0.725 0.025 O
0.193 0.636 0.838 O
0.935 0.029 0.409 O
0.570 0.983 0.592 O
0.450 0.024 0.916 O
0.042 0.657 0.206 O
0.278 0.054 0.749 O
0.722 0.054 0.249 O
0.664 0.209 0.993 O
0.550 0.024 0.416 O
0.288 0.349 0.184 O
0.050 0.979 0.083 O
0.690 0.280 0.478 O
0.712 0.349 0.684 O
0.810 0.725 0.525 O
0.807 0.636 0.338 O
```

Properties
For the calculated volume, the calculation gives 754 Å³ per cell. As for the formation energy from the elements: -2.90 eV per atom. The MP2020-corrected energy comes out at -7.89 eV per atom. As for the space group: No. 7.



# Li9Mn2Co5O16

A relaxed Li9Mn2Co5O16 crystal (GGA+U, the Materials Project).

Geometry as POSCAR:
```
Li9Mn2Co5O16
1.0
-1.556 1.461 -2.145
-4.281 -1.874 1.963
-0.481 15.178 11.655
Li Mn Co O
9 2 5 16
Direct
0.007 0.621 0.875 Li
0.500 0.750 0.750 Li
0.992 0.879 0.625 Li
0.496 0.002 0.501 Li
0.999 0.125 0.376 Li
0.499 0.250 0.250 Li
0.000 0.375 0.125 Li
0.504 0.498 0.000 Li
0.000 0.250 0.750 Li
0.996 0.003 0.998 Mn
0.501 0.625 0.376 Mn
0.511 0.127 0.869 Co
0.499 0.375 0.631 Co
0.996 0.493 0.503 Co
0.003 0.752 0.249 Co
0.494 0.874 0.125 Co
0.527 0.844 0.935 O
0.036 0.948 0.817 O
0.501 0.094 0.680 O
0.036 0.208 0.563 O
0.486 0.330 0.439 O
0.040 0.457 0.311 O
0.492 0.585 0.187 O
0.981 0.709 0.062 O
0.500 0.407 0.819 O
0.972 0.552 0.683 O
0.509 0.653 0.565 O
0.961 0.792 0.441 O
0.518 0.916 0.312 O
0.005 0.041 0.187 O
0.462 0.170 0.063 O
0.977 0.294 0.936 O
```

Properties
For the calculated volume, the calculation gives 293 Å³ per cell. As for the formation energy from the elements: -1.79 eV per atom. The MP2020-corrected energy comes out at -6.48 eV per atom. As for the space group: No. 1.



# TbWBrO4

A relaxed TbWBrO4 crystal (GGA+U, the Materials Project).

Geometry as POSCAR:
```
TbWBrO4
1.0
-2.812 6.214 1.605
-3.635 -0.496 -6.368
-4.708 -7.671 6.547
Tb W Br O
4 4 4 16
Direct
0.654 0.118 0.731 Tb
0.346 0.882 0.269 Tb
0.384 0.656 0.768 Tb
0.616 0.344 0.232 Tb
0.730 0.813 0.133 W
0.270 0.187 0.867 W
0.770 0.591 0.627 W
0.230 0.409 0.373 W
0.263 0.997 0.519 Br
0.737 0.003 0.481 Br
0.193 0.718 0.981 Br
0.807 0.282 0.019 Br
0.660 0.729 0.957 O
0.340 0.271 0.043 O
0.002 0.871 0.207 O
0.998 0.129 0.793 O
0.629 0.643 0.201 O
0.371 0.357 0.799 O
0.397 0.982 0.818 O
0.603 0.018 0.182 O
0.040 0.649 0.672 O
0.960 0.351 0.328 O
0.718 0.409 0.701 O
0.282 0.591 0.299 O
0.668 0.503 0.449 O
0.332 0.497 0.551 O
0.655 0.792 0.702 O
0.345 0.208 0.298 O
```

Properties
For the calculated volume, the calculation gives 522 Å³ per cell. As for the formation energy from the elements: -2.59 eV per atom. The MP2020-corrected energy comes out at -8.17 eV per atom. As for the space group: No. 2.



# MnZnSiO5

A relaxed MnZnSiO5 crystal (GGA+U, the Materials Project).

Geometry as POSCAR:
```
MnZnSiO5
1.0
-2.075 -1.412 -4.757
-5.668 4.118 -1.293
2.033 0.307 -7.787
Mn Zn Si O
2 2 2 10
Direct
0.498 0.486 0.997 Mn
0.500 0.986 0.995 Mn
0.452 0.234 0.705 Zn
0.567 0.726 0.275 Zn
0.523 0.233 0.329 Si
0.470 0.740 0.665 Si
0.505 0.044 0.228 O
0.601 0.403 0.177 O
0.491 0.929 0.764 O
0.385 0.574 0.822 O
0.886 0.616 0.331 O
0.119 0.835 0.687 O
0.111 0.353 0.664 O
0.881 0.136 0.302 O
0.485 0.739 0.080 O
0.512 0.233 0.912 O
```

Properties
For the calculated volume, the calculation gives 180 Å³ per cell. As for the formation energy from the elements: -2.28 eV per atom. The MP2020-corrected energy comes out at -7.35 eV per atom. As for the space group: No. 1.



# Li7Co5O12

A relaxed Li7Co5O12 crystal (GGA+U, the Materials Project).

Geometry as POSCAR:
```
Li7Co5O12
1.0
2.334 -5.066 3.104
4.660 -3.181 2.986
-1.528 2.607 11.543
Li Co O
7 5 12
Direct
0.002 0.002 0.250 Li
0.667 0.667 0.086 Li
0.333 0.333 0.914 Li
0.998 0.998 0.750 Li
0.666 0.666 0.580 Li
0.334 0.334 0.420 Li
0.000 0.000 0.500 Li
0.340 0.340 0.658 Co
0.660 0.660 0.342 Co
0.331 0.331 0.168 Co
0.000 0.000 0.000 Co
0.669 0.669 0.832 Co
0.840 0.840 0.044 O
0.507 0.507 0.876 O
0.179 0.179 0.709 O
0.833 0.833 0.551 O
0.517 0.517 0.369 O
0.174 0.174 0.212 O
0.167 0.167 0.449 O
0.821 0.821 0.291 O
0.493 0.493 0.124 O
0.160 0.160 0.956 O
0.826 0.826 0.788 O
0.483 0.483 0.631 O
```

Properties
For the calculated volume, the calculation gives 214 Å³ per cell. As for the formation energy from the elements: -1.67 eV per atom. The MP2020-corrected energy comes out at -6.18 eV per atom. As for the space group: No. 12.



# Li6NbFe5O12

A relaxed Li6NbFe5O12 crystal (GGA+U, the Materials Project).

Geometry as POSCAR:
```
Li6NbFe5O12
1.0
4.518 2.601 0.000
-4.518 2.601 0.000
0.000 1.495 10.201
Li Nb Fe O
6 1 5 12
Direct
0.297 0.947 0.247 Li
0.043 0.700 0.758 Li
0.386 0.386 0.748 Li
0.618 0.618 0.242 Li
0.947 0.297 0.247 Li
0.700 0.043 0.758 Li
0.022 0.022 0.001 Nb
0.661 0.330 0.000 Fe
0.500 0.500 0.497 Fe
0.330 0.661 0.000 Fe
0.833 0.164 0.501 Fe
0.164 0.833 0.501 Fe
0.657 0.980 0.114 O
0.030 0.344 0.877 O
0.537 0.200 0.387 O
0.133 0.133 0.609 O
0.797 0.464 0.613 O
0.284 0.284 0.126 O
0.706 0.706 0.892 O
0.200 0.537 0.387 O
0.867 0.867 0.389 O
0.464 0.797 0.613 O
0.980 0.657 0.114 O
0.344 0.030 0.877 O
```

Properties
For the calculated volume, the calculation gives 240 Å³ per cell. As for the formation energy from the elements: -2.06 eV per atom. The MP2020-corrected energy comes out at -7.20 eV per atom. As for the space group: No. 8.



# Li9Co7O16

A relaxed Li9Co7O16 crystal (GGA+U, the Materials Project).

Geometry as POSCAR:
```
Li9Co7O16
1.0
2.929 0.000 0.000
-0.178 10.103 0.000
-1.172 -4.300 9.681
Li Co O
9 7 16
Direct
0.126 0.686 0.249 Li
0.882 0.817 0.759 Li
0.616 0.936 0.247 Li
0.637 0.435 0.253 Li
0.363 0.565 0.747 Li
0.118 0.183 0.241 Li
0.874 0.314 0.751 Li
0.384 0.064 0.753 Li
0.500 0.000 0.000 Li
0.998 0.764 0.003 Co
0.002 0.236 0.997 Co
0.758 0.872 0.498 Co
0.242 0.128 0.502 Co
0.745 0.377 0.504 Co
0.500 0.500 0.000 Co
0.255 0.623 0.496 Co
0.570 0.700 0.109 O
0.335 0.837 0.613 O
0.060 0.950 0.121 O
0.036 0.466 0.101 O
0.808 0.588 0.615 O
0.573 0.226 0.118 O
0.297 0.345 0.620 O
0.818 0.093 0.615 O
0.703 0.655 0.380 O
0.427 0.774 0.882 O
0.182 0.907 0.385 O
0.192 0.412 0.385 O
0.964 0.534 0.899 O
0.665 0.163 0.387 O
0.430 0.300 0.891 O
0.940 0.050 0.879 O
```

Properties
For the calculated volume, the calculation gives 287 Å³ per cell. As for the formation energy from the elements: -1.68 eV per atom. The MP2020-corrected energy comes out at -6.24 eV per atom. As for the space group: No. 2.



# ZnCoO3

A relaxed ZnCoO3 crystal (GGA+U, the Materials Project).

Geometry as POSCAR:
```
ZnCoO3
1.0
4.291 4.776 0.000
-4.291 4.776 0.000
0.000 0.624 5.053
Zn Co O
4 4 12
Direct
0.781 0.588 0.199 Zn
0.588 0.781 0.699 Zn
0.412 0.219 0.301 Zn
0.219 0.412 0.801 Zn
0.911 0.089 0.250 Co
0.746 0.254 0.750 Co
0.254 0.746 0.250 Co
0.089 0.911 0.750 Co
0.981 0.816 0.108 O
0.870 0.333 0.408 O
0.816 0.981 0.608 O
0.735 0.520 0.848 O
0.520 0.735 0.348 O
0.667 0.130 0.092 O
0.333 0.870 0.908 O
0.480 0.265 0.652 O
0.265 0.480 0.152 O
0.184 0.019 0.392 O
0.130 0.667 0.592 O
0.019 0.184 0.892 O
```

Properties
For the calculated volume, the calculation gives 207 Å³ per cell. As for the formation energy from the elements: -1.33 eV per atom. The MP2020-corrected energy comes out at -5.97 eV per atom. As for the space group: No. 15.



# LiFeCO3F2

A relaxed LiFeCO3F2 crystal (GGA+U, the Materials Project).

Geometry as POSCAR:
```
LiFeCO3F2
1.0
-2.202 2.143 5.074
-5.898 -2.036 -1.700
1.494 -7.522 3.825
Li Fe C O F
4 4 4 12 8
Direct
0.699 0.250 0.272 Li
0.199 0.250 0.228 Li
0.301 0.750 0.728 Li
0.801 0.750 0.772 Li
0.004 0.250 0.577 Fe
0.504 0.250 0.923 Fe
0.496 0.750 0.077 Fe
0.996 0.750 0.423 Fe
0.459 0.250 0.560 C
0.959 0.250 0.940 C
0.041 0.750 0.060 C
0.541 0.750 0.440 C
0.804 0.250 0.047 O
0.304 0.250 0.453 O
0.665 0.250 0.518 O
0.165 0.250 0.982 O
0.881 0.250 0.799 O
0.381 0.250 0.701 O
0.835 0.750 0.018 O
0.119 0.750 0.201 O
0.619 0.750 0.299 O
0.335 0.750 0.482 O
0.696 0.750 0.547 O
0.196 0.750 0.953 O
0.456 0.050 0.141 F
0.956 0.050 0.359 F
0.456 0.450 0.141 F
0.956 0.450 0.359 F
0.544 0.550 0.859 F
0.044 0.550 0.641 F
0.044 0.950 0.641 F
0.544 0.950 0.859 F
```

Properties
For the calculated volume, the calculation gives 329 Å³ per cell. As for the formation energy from the elements: -2.18 eV per atom. The MP2020-corrected energy comes out at -6.97 eV per atom. As for the space group: No. 62.



# LiMnBO3

A relaxed LiMnBO3 crystal (GGA+U, the Materials Project).

Geometry as POSCAR:
```
LiMnBO3
1.0
0.000 0.000 6.440
4.150 7.186 0.000
-4.144 7.182 0.000
Li Mn B O
6 6 6 18
Direct
0.000 0.376 0.969 Li
0.500 0.376 0.969 Li
0.000 0.656 0.375 Li
0.500 0.656 0.375 Li
0.000 0.969 0.656 Li
0.500 0.969 0.656 Li
0.750 0.290 0.672 Mn
0.750 0.039 0.290 Mn
0.250 0.671 0.039 Mn
0.250 0.290 0.672 Mn
0.250 0.038 0.290 Mn
0.750 0.671 0.039 Mn
0.250 0.333 0.333 B
0.750 0.333 0.333 B
0.000 0.000 0.000 B
0.500 0.000 0.000 B
0.250 0.667 0.667 B
0.750 0.667 0.667 B
0.000 0.104 0.807 O
0.500 0.104 0.807 O
0.000 0.090 0.104 O
0.500 0.090 0.104 O
0.000 0.807 0.090 O
0.500 0.807 0.090 O
0.250 0.148 0.473 O
0.750 0.148 0.473 O
0.250 0.473 0.380 O
0.750 0.473 0.379 O
0.250 0.380 0.147 O
0.750 0.380 0.147 O
0.250 0.473 0.770 O
0.750 0.473 0.770 O
0.250 0.770 0.757 O
0.750 0.770 0.757 O
0.250 0.757 0.473 O
0.750 0.757 0.473 O
```

Properties
For the calculated volume, the calculation gives 384 Å³ per cell. As for the formation energy from the elements: -2.46 eV per atom. The MP2020-corrected energy comes out at -7.90 eV per atom.